Entry w
A plane-wave DFT calculation with PBE+U was carried out for crystalline LiP3W2O13 at its relaxed geometry.

Cell and atoms, written as CIF:
```
data_LiP3W2O13
_cell_length_a 9.5989
_cell_length_b 19.2938
_cell_length_c 6.5094
_cell_angle_alpha 90.00
_cell_angle_beta 106.75
_cell_angle_gamma 90.00
_space_group_name_H-M_alt 'P 1 21/c 1'
_space_group_IT_number 14
_space_group_name_Hall '-P 2ybc'
loop_
_atom_site_label
_atom_site_type_symbol
_atom_site_fract_x
_atom_site_fract_y
_atom_site_fract_z
Li1 Li 0.1197 0.2239 0.4150
P1 P 0.2009 0.0299 0.9889
P2 P 0.2030 0.5948 0.2320
P3 P 0.4758 0.6739 0.8439
W1 W 0.1139 0.6264 0.6866
W2 W 0.4308 0.1615 0.1182
O1 O 0.0490 0.7130 0.6769
O2 O 0.0939 0.0890 0.9079
O3 O 0.1160 0.6037 0.9959
O4 O 0.1168 0.6309 0.3674
O5 O 0.1602 0.5199 0.6432
O6 O 0.2012 0.5127 0.2751
O7 O 0.2701 0.2133 0.0529
O8 O 0.3311 0.6341 0.7894
O9 O 0.3521 0.0612 0.0848
O10 O 0.3621 0.6154 0.2859
O11 O 0.4287 0.1529 0.4307
O12 O 0.4360 0.1518 0.8092
O13 O 0.4385 0.7481 0.3275
```

The crystal system is monoclinic. The spin magnetization comes out at 2.0 μB/f.u.


Entry x
A plane-wave DFT calculation with PBE+U was carried out for crystalline LiP3W2O13 at its relaxed geometry.

Cell and atoms, written as CIF:
```
data_LiP3W2O13
_cell_length_a 6.8879
_cell_length_b 8.7652
_cell_length_c 8.9458
_cell_angle_alpha 90.00
_cell_angle_beta 94.40
_cell_angle_gamma 90.00
_space_group_name_H-M_alt 'P 1 2/c 1'
_space_group_IT_number 13
_space_group_name_Hall '-P 2yc'
loop_
_atom_site_label
_atom_site_type_symbol
_atom_site_fract_x
_atom_site_fract_y
_atom_site_fract_z
Li1 Li 0.0000 0.1428 0.2500
P1 P 0.3376 0.4318 0.8382
P2 P 0.5000 0.0412 0.2500
W1 W 0.2664 0.2381 0.5183
O1 O 0.0233 0.1807 0.4675
O2 O 0.2149 0.4469 0.4079
O3 O 0.2164 0.3386 0.7196
O4 O 0.3495 0.1428 0.3224
O5 O 0.3813 0.0551 0.6319
O6 O 0.4476 0.3281 0.9533
O7 O 0.5000 0.4786 0.2500
```

The crystal system is monoclinic. The spin magnetization comes out at 2.0 μB/f.u.


entry w is preferred energetically. Next in line: 0.015 eV/atom higher.